{"formula": "DyLuZn2", "functional": "PBE-GGA", "state": "relaxed", "lattice_angstrom": [[3.467, -0.745, -3.538], [3.184, -3.848, 0.384], [-0.399, -3.902, -3.116]], "species": ["Lu", "Dy", "Zn", "Zn"], "fractional_positions": [[0.000, 0.000, 0.000], [0.500, 0.500, 0.500], [0.250, 0.250, 0.250], [0.750, 0.750, 0.750]], "volume_a3_per_cell": 89, "e_form_ev_per_atom": -0.35}